Entry 1:
Na21Nb8Zn4Si15P3O72 | PBE | optimized geometry

Values from the calculation:
energy of formation: -2.78 eV/atom
energy with MP2020 corrections: -7.39 eV per atom

Cell lengths 9.128, 9.131, 22.361 Å; angles 89.79, 89.89, 60.14 degrees
Fractional positions:
Na (0.000, 0.000, 0.000)
Na (0.001, 0.596, 0.494)
Na (0.260, 0.996, 0.494)
Na (0.264, 0.330, 0.999)
Na (0.298, 0.641, 0.920)
Na (0.321, 0.629, 0.414)
Na (0.328, 0.252, 0.665)
Na (0.329, 0.008, 0.163)
Na (0.333, 0.948, 0.841)
Na (0.617, 0.311, 0.842)
Na (0.634, 0.974, 0.246)
Na (0.652, 0.965, 0.748)
Na (0.663, 0.592, 0.997)
Na (0.667, 0.329, 0.497)
Na (0.676, 0.659, 0.665)
Na (0.680, 0.250, 0.163)
Na (0.920, 0.010, 0.662)
Na (0.924, 0.660, 0.166)
Na (0.975, 0.302, 0.578)
Na (0.977, 0.301, 0.078)
Na (0.983, 0.946, 0.339)
Nb (0.306, 0.643, 0.566)
Nb (0.308, 0.639, 0.774)
Nb (0.312, 0.637, 0.275)
Nb (0.314, 0.640, 0.067)
Nb (0.641, 0.973, 0.900)
Nb (0.646, 0.971, 0.396)
Nb (0.975, 0.307, 0.734)
Nb (0.978, 0.306, 0.235)
Zn (0.639, 0.979, 0.104)
Zn (0.645, 0.976, 0.604)
Zn (0.976, 0.301, 0.934)
Zn (0.976, 0.302, 0.429)
Si (0.019, 0.636, 0.670)
Si (0.019, 0.932, 0.171)
Si (0.266, 0.309, 0.840)
Si (0.270, 0.013, 0.339)
Si (0.305, 0.351, 0.170)
Si (0.308, 0.934, 0.671)
Si (0.348, 0.975, 0.007)
Si (0.602, 0.350, 0.670)
Si (0.604, 0.637, 0.171)
Si (0.643, 0.267, 0.007)
Si (0.681, 0.311, 0.340)
Si (0.686, 0.600, 0.839)
Si (0.935, 0.976, 0.506)
Si (0.977, 0.011, 0.839)
Si (0.978, 0.595, 0.341)
P (0.356, 0.263, 0.506)
P (0.640, 0.687, 0.507)
P (0.934, 0.686, 0.006)
O (0.009, 0.492, 0.401)
O (0.012, 0.117, 0.175)
O (0.014, 0.458, 0.675)
O (0.025, 0.078, 0.897)
O (0.110, 0.680, 0.006)
O (0.119, 0.815, 0.229)
O (0.125, 0.793, 0.508)
O (0.126, 0.656, 0.725)
O (0.128, 0.344, 0.175)
O (0.130, 0.116, 0.675)
O (0.133, 0.636, 0.330)
O (0.143, 0.606, 0.611)
O (0.143, 0.824, 0.827)
O (0.145, 0.837, 0.112)
O (0.156, 0.079, 0.398)
O (0.161, 0.136, 0.001)
O (0.162, 0.340, 0.900)
O (0.172, 0.277, 0.781)
O (0.173, 0.137, 0.280)
O (0.175, 0.296, 0.500)
O (0.275, 0.474, 0.110)
O (0.277, 0.836, 0.612)
O (0.290, 0.827, 0.328)
O (0.307, 0.465, 0.829)
O (0.321, 0.459, 0.225)
O (0.329, 0.813, 0.728)
O (0.339, 0.794, 0.007)
O (0.350, 0.442, 0.508)
O (0.428, 0.164, 0.564)
O (0.433, 0.998, 0.066)
O (0.456, 0.134, 0.842)
O (0.458, 0.997, 0.345)
O (0.459, 0.452, 0.007)
O (0.470, 0.168, 0.172)
O (0.471, 0.674, 0.508)
O (0.473, 0.952, 0.668)
O (0.474, 0.169, 0.452)
O (0.475, 0.943, 0.947)
O (0.476, 0.659, 0.226)
O (0.484, 0.452, 0.728)
O (0.491, 0.470, 0.329)
O (0.493, 0.628, 0.828)
O (0.507, 0.475, 0.611)
O (0.510, 0.606, 0.111)
O (0.613, 0.805, 0.452)
O (0.616, 0.168, 0.947)
O (0.618, 0.167, 0.671)
O (0.624, 0.801, 0.169)
O (0.660, 0.763, 0.564)
O (0.660, 0.792, 0.841)
O (0.673, 0.132, 0.344)
O (0.677, 0.154, 0.065)
O (0.752, 0.340, 0.401)
O (0.753, 0.483, 0.897)
O (0.786, 0.459, 0.176)
O (0.787, 0.342, 0.674)
O (0.793, 0.507, 0.501)
O (0.800, 0.004, 0.842)
O (0.800, 0.301, 0.000)
O (0.806, 0.788, 0.344)
O (0.807, 0.502, 0.779)
O (0.810, 0.275, 0.282)
O (0.827, 0.001, 0.566)
O (0.834, 0.760, 0.064)
O (0.835, 0.800, 0.670)
O (0.836, 0.949, 0.170)
O (0.837, 0.805, 0.951)
O (0.839, 0.944, 0.448)
O (0.946, 0.139, 0.780)
O (0.952, 0.500, 0.281)
O (0.960, 0.508, 0.999)
O (0.967, 0.135, 0.501)


Entry 2:
NaZr2Nb2SiP5O24 | PBE | optimized geometry

Values from the calculation:
energy of formation: -3.06 eV/atom
energy with MP2020 corrections: -8.49 eV per atom

Cell lengths 8.890, 8.891, 23.029 Å; angles 89.91, 89.94, 60.04 degrees
Fractional positions:
Na (0.000, 0.000, 0.000)
Na (0.000, 0.000, 0.497)
Na (0.335, 0.332, 0.833)
Zr (0.000, 0.001, 0.146)
Zr (0.330, 0.335, 0.685)
Zr (0.336, 0.331, 0.977)
Zr (0.666, 0.667, 0.311)
Zr (0.668, 0.667, 0.522)
Zr (0.999, 0.000, 0.352)
Nb (0.000, 0.003, 0.855)
Nb (0.000, 0.998, 0.643)
Nb (0.329, 0.339, 0.475)
Nb (0.333, 0.333, 0.189)
Nb (0.662, 0.668, 0.810)
Nb (0.663, 0.665, 0.022)
Si (0.046, 0.621, 0.582)
Si (0.382, 0.951, 0.915)
Si (0.666, 0.382, 0.915)
P (0.001, 0.709, 0.248)
P (0.045, 0.335, 0.082)
P (0.286, 0.715, 0.749)
P (0.290, 0.001, 0.248)
P (0.332, 0.048, 0.582)
P (0.333, 0.621, 0.083)
P (0.377, 0.667, 0.416)
P (0.620, 0.332, 0.582)
P (0.621, 0.044, 0.083)
P (0.665, 0.958, 0.416)
P (0.708, 0.291, 0.248)
P (0.715, 0.998, 0.750)
P (0.949, 0.668, 0.915)
P (0.956, 0.377, 0.416)
P (0.999, 0.287, 0.749)
O (0.021, 0.176, 0.090)
O (0.025, 0.170, 0.803)
O (0.027, 0.816, 0.592)
O (0.037, 0.788, 0.302)
O (0.131, 0.510, 0.921)
O (0.133, 0.507, 0.639)
O (0.134, 0.361, 0.137)
O (0.140, 0.356, 0.427)
O (0.156, 0.304, 0.028)
O (0.161, 0.304, 0.745)
O (0.165, 0.030, 0.591)
O (0.165, 0.527, 0.237)
O (0.171, 0.804, 0.803)
O (0.173, 0.528, 0.525)
O (0.175, 0.037, 0.302)
O (0.176, 0.804, 0.090)
O (0.190, 0.969, 0.906)
O (0.193, 0.825, 0.409)
O (0.198, 0.830, 0.695)
O (0.206, 0.973, 0.195)
O (0.300, 0.164, 0.528)
O (0.304, 0.541, 0.028)
O (0.309, 0.165, 0.237)
O (0.309, 0.533, 0.744)
O (0.355, 0.144, 0.920)
O (0.359, 0.502, 0.426)
O (0.361, 0.127, 0.637)
O (0.362, 0.505, 0.137)
O (0.457, 0.696, 0.470)
O (0.467, 0.698, 0.758)
O (0.470, 0.844, 0.257)
O (0.473, 0.829, 0.972)
O (0.485, 0.867, 0.573)
O (0.488, 0.634, 0.362)
O (0.498, 0.360, 0.920)
O (0.498, 0.638, 0.074)
O (0.502, 0.857, 0.858)
O (0.503, 0.140, 0.427)
O (0.505, 0.133, 0.137)
O (0.514, 0.358, 0.637)
O (0.526, 0.309, 0.237)
O (0.535, 0.158, 0.744)
O (0.538, 0.298, 0.528)
O (0.540, 0.157, 0.029)
O (0.634, 0.878, 0.362)
O (0.640, 0.863, 0.073)
O (0.643, 0.502, 0.858)
O (0.644, 0.488, 0.573)
O (0.686, 0.470, 0.257)
O (0.696, 0.845, 0.470)
O (0.700, 0.471, 0.973)
O (0.700, 0.835, 0.759)
O (0.788, 0.175, 0.302)
O (0.804, 0.022, 0.090)
O (0.806, 0.024, 0.803)
O (0.806, 0.167, 0.591)
O (0.821, 0.206, 0.195)
O (0.826, 0.981, 0.409)
O (0.830, 0.973, 0.695)
O (0.837, 0.699, 0.970)
O (0.838, 0.467, 0.759)
O (0.839, 0.188, 0.906)
O (0.844, 0.685, 0.257)
O (0.845, 0.458, 0.470)
O (0.857, 0.648, 0.573)
O (0.864, 0.499, 0.073)
O (0.864, 0.642, 0.860)
O (0.879, 0.488, 0.362)
O (0.970, 0.831, 0.906)
O (0.972, 0.199, 0.695)
O (0.973, 0.821, 0.195)
O (0.982, 0.193, 0.409)


Entry 3:
Na2ZrNbSi2PO12 | PBE | optimized geometry

Values from the calculation:
energy of formation: -3.06 eV/atom
energy with MP2020 corrections: -8.16 eV per atom

Cell lengths 9.043, 9.043, 23.021 Å; angles 90.09, 89.91, 119.70 degrees
Fractional positions:
Si (0.954, 0.626, 0.084)
Na (0.681, 0.337, 0.832)
O (0.516, 0.866, 0.077)
O (0.364, 0.496, 0.363)
O (0.696, 0.533, 0.524)
O (0.838, 0.038, 0.089)
Si (0.708, 0.998, 0.749)
Zr (0.331, 0.669, 0.520)
O (0.678, 0.160, 0.745)
O (0.800, 0.971, 0.691)
Nb (0.334, 0.666, 0.313)
O (0.183, 0.200, 0.410)
O (0.849, 0.494, 0.424)
O (0.134, 0.484, 0.577)
O (0.305, 0.482, 0.757)
Zr (0.997, 0.003, 0.353)
P (0.622, 0.665, 0.917)
Si (0.374, 0.046, 0.584)
O (0.185, 0.029, 0.591)
O (0.171, 0.704, 0.755)
O (0.476, 0.170, 0.528)
Zr (0.664, 0.336, 0.687)
O (0.638, 0.148, 0.424)
Na (0.703, 0.673, 0.417)
O (0.518, 0.695, 0.257)
P (0.001, 0.711, 0.750)
O (0.134, 0.638, 0.357)
Si (0.288, 0.293, 0.751)
O (0.971, 0.815, 0.091)
Si (0.041, 0.665, 0.416)
Zr (0.664, 0.336, 0.187)
O (0.345, 0.494, 0.078)
O (0.839, 0.818, 0.590)
P (0.289, 0.999, 0.250)
O (0.874, 0.507, 0.141)
O (0.873, 0.357, 0.638)
Si (0.669, 0.626, 0.583)
O (0.474, 0.308, 0.744)
O (0.506, 0.151, 0.924)
Si (0.374, 0.331, 0.083)
O (0.541, 0.841, 0.475)
Na (0.663, 0.319, 0.332)
O (0.493, 0.126, 0.641)
O (0.362, 0.866, 0.857)
O (0.840, 0.322, 0.245)
Na (0.330, 0.652, 0.665)
Si (0.041, 0.379, 0.918)
O (0.540, 0.690, 0.971)
Zr (0.331, 0.669, 0.020)
O (0.359, 0.860, 0.577)
O (0.838, 0.302, 0.529)
O (0.467, 0.150, 0.243)
O (0.515, 0.827, 0.757)
O (0.207, 0.174, 0.808)
O (0.310, 0.460, 0.471)
O (0.011, 0.827, 0.411)
O (0.159, 0.459, 0.975)
O (0.506, 0.655, 0.578)
O (0.830, 0.524, 0.028)
O (0.026, 0.193, 0.910)
P (0.668, 0.045, 0.084)
O (0.029, 0.200, 0.191)
O (0.467, 0.304, 0.024)
O (0.173, 0.485, 0.257)
Na (0.994, 0.630, 0.251)
O (0.143, 0.504, 0.861)
O (0.807, 0.974, 0.410)
O (0.629, 0.496, 0.922)
Nb (0.001, 0.999, 0.147)
Na (0.348, 0.670, 0.165)
O (0.643, 0.127, 0.138)
P (0.335, 0.378, 0.417)
Si (0.335, 0.959, 0.916)
O (0.157, 0.689, 0.472)
O (0.698, 0.162, 0.029)
O (0.031, 0.829, 0.696)
Nb (0.001, 0.999, 0.647)
O (0.977, 0.794, 0.804)
P (0.955, 0.332, 0.584)
O (0.962, 0.162, 0.589)
Na (0.997, 0.986, 0.999)
O (0.163, 0.190, 0.694)
Zr (0.997, 0.003, 0.853)
O (0.173, 0.989, 0.911)
Na (0.370, 0.006, 0.751)
O (0.504, 0.371, 0.422)
O (0.182, 0.161, 0.090)
Na (0.037, 0.339, 0.084)
O (0.800, 0.817, 0.910)
O (0.140, 0.641, 0.077)
Si (0.002, 0.292, 0.249)
O (0.490, 0.356, 0.139)
O (0.826, 0.793, 0.308)
O (0.504, 0.636, 0.863)
O (0.978, 0.176, 0.305)
O (0.206, 0.023, 0.304)
Nb (0.334, 0.666, 0.813)
O (0.644, 0.510, 0.639)
O (0.296, 0.829, 0.255)
Na (0.661, 0.963, 0.584)
Na (0.327, 0.297, 0.917)
O (0.852, 0.362, 0.924)
O (0.171, 0.969, 0.196)
O (0.824, 0.022, 0.805)
Na (0.014, 0.003, 0.499)
Nb (0.667, 0.333, 0.980)
Si (0.707, 0.712, 0.251)
O (0.692, 0.526, 0.244)
O (0.311, 0.843, 0.972)
O (0.850, 0.533, 0.743)
Si (0.621, 0.959, 0.418)
O (0.496, 0.857, 0.361)
Nb (0.667, 0.333, 0.480)
O (0.810, 0.837, 0.194)


Entry 4:
NaZrNbSiP2O12 | PBE | optimized geometry

Values from the calculation:
energy of formation: -3.07 eV/atom
energy with MP2020 corrections: -8.38 eV per atom

Cell lengths 8.922, 8.922, 23.235 Å; angles 90.01, 90.01, 60.04 degrees
Fractional positions:
Na (0.001, 0.999, 0.500)
Na (0.331, 0.332, 0.333)
Na (0.332, 0.331, 0.833)
Na (0.664, 0.666, 0.667)
Na (0.666, 0.664, 0.167)
Na (0.999, 0.001, 0.000)
Zr (0.002, 0.004, 0.855)
Zr (0.004, 0.002, 0.355)
Zr (0.333, 0.335, 0.188)
Zr (0.335, 0.333, 0.688)
Zr (0.659, 0.670, 0.521)
Zr (0.670, 0.659, 0.021)
Nb (0.008, 0.994, 0.647)
Nb (0.331, 0.334, 0.480)
Nb (0.334, 0.331, 0.980)
Nb (0.665, 0.668, 0.314)
Nb (0.668, 0.665, 0.814)
Nb (0.994, 0.008, 0.147)
Si (0.293, 0.998, 0.752)
Si (0.333, 0.622, 0.585)
Si (0.376, 0.958, 0.418)
Si (0.622, 0.333, 0.085)
Si (0.958, 0.376, 0.918)
Si (0.998, 0.293, 0.252)
P (0.045, 0.332, 0.584)
P (0.046, 0.623, 0.084)
P (0.288, 0.713, 0.251)
P (0.332, 0.045, 0.084)
P (0.379, 0.664, 0.918)
P (0.623, 0.046, 0.584)
P (0.664, 0.379, 0.418)
P (0.665, 0.955, 0.918)
P (0.713, 0.288, 0.751)
P (0.713, 0.998, 0.251)
P (0.955, 0.665, 0.418)
P (0.998, 0.713, 0.751)
O (0.024, 0.794, 0.805)
O (0.026, 0.167, 0.592)
O (0.027, 0.173, 0.307)
O (0.031, 0.803, 0.092)
O (0.126, 0.511, 0.138)
O (0.128, 0.357, 0.638)
O (0.138, 0.499, 0.425)
O (0.150, 0.359, 0.927)
O (0.155, 0.531, 0.744)
O (0.155, 0.815, 0.593)
O (0.161, 0.301, 0.530)
O (0.161, 0.532, 0.030)
O (0.166, 0.314, 0.244)
O (0.167, 0.026, 0.092)
O (0.173, 0.027, 0.807)
O (0.179, 0.792, 0.305)
O (0.187, 0.978, 0.412)
O (0.193, 0.970, 0.695)
O (0.196, 0.820, 0.910)
O (0.201, 0.827, 0.197)
O (0.301, 0.161, 0.030)
O (0.303, 0.527, 0.528)
O (0.312, 0.531, 0.244)
O (0.314, 0.166, 0.744)
O (0.357, 0.128, 0.138)
O (0.359, 0.150, 0.427)
O (0.359, 0.507, 0.641)
O (0.362, 0.498, 0.925)
O (0.459, 0.695, 0.971)
O (0.465, 0.840, 0.473)
O (0.471, 0.695, 0.259)
O (0.483, 0.822, 0.760)
O (0.490, 0.866, 0.077)
O (0.494, 0.637, 0.864)
O (0.498, 0.362, 0.425)
O (0.499, 0.138, 0.925)
O (0.499, 0.646, 0.579)
O (0.502, 0.860, 0.361)
O (0.507, 0.359, 0.141)
O (0.511, 0.126, 0.638)
O (0.527, 0.303, 0.028)
O (0.531, 0.155, 0.244)
O (0.531, 0.312, 0.744)
O (0.532, 0.161, 0.530)
O (0.635, 0.868, 0.863)
O (0.637, 0.494, 0.364)
O (0.646, 0.499, 0.079)
O (0.648, 0.864, 0.577)
O (0.690, 0.847, 0.972)
O (0.695, 0.459, 0.471)
O (0.695, 0.471, 0.759)
O (0.695, 0.832, 0.258)
O (0.792, 0.179, 0.805)
O (0.794, 0.024, 0.305)
O (0.803, 0.031, 0.592)
O (0.815, 0.155, 0.093)
O (0.820, 0.196, 0.410)
O (0.822, 0.483, 0.260)
O (0.823, 0.977, 0.910)
O (0.827, 0.201, 0.697)
O (0.828, 0.969, 0.197)
O (0.832, 0.695, 0.758)
O (0.840, 0.465, 0.973)
O (0.847, 0.690, 0.472)
O (0.860, 0.502, 0.861)
O (0.864, 0.648, 0.077)
O (0.866, 0.490, 0.577)
O (0.868, 0.635, 0.363)
O (0.969, 0.828, 0.697)
O (0.970, 0.193, 0.195)
O (0.977, 0.823, 0.410)
O (0.978, 0.187, 0.912)